Below is a geometry-optimized Al2PbSe4 structure, with properties calculated at the r²SCAN level.

Cell: 6.259 10.921 6.302 Å, 90.00 119.64 90.00°
Atoms (fractional coordinates):
Al1 0.000 0.000 0.000
Al2 0.009 0.500 0.985
Al3 0.457 0.500 0.703
Al4 0.476 0.000 0.517
Pb1 0.739 0.250 0.249
Pb2 0.739 0.750 0.249
Se1 0.047 0.500 0.385
Se2 0.238 0.167 0.258
Se3 0.238 0.833 0.258
Se4 0.418 0.500 0.066
Se5 0.586 0.000 0.940
Se6 0.734 0.333 0.768
Se7 0.734 0.667 0.768
Se8 0.889 0.000 0.579

**Calculated formation energy**: -633 kJ/mol of formula units
**V**: 26.7 A^3/atom
**Symmetry**: Pm
**Size of the total moment**: 0.00 μB/atom